Record 1
Density functional theory data (r²SCAN) for Ce3Si4Rh4 after structural relaxation.

M_tot: 2.43 μB/f.u.
energy relative to the elements: -1.08 eV per atom

Cell lengths 4.050, 4.176, 24.403 Å; angles 90.00, 90.00, 90.00 degrees
Space group Immm (No. 71)
One atom of each set of equivalent atoms:
Ce 0.000 0.000 0.000 [2 per cell]
Ce 0.000 0.500 0.144 [4 per cell]
Si 0.000 0.000 0.452 [4 per cell]
Si 0.000 0.500 0.301 [4 per cell]
Rh 0.000 0.000 0.250 [4 per cell]
Rh 0.000 0.500 0.401 [4 per cell]

Record 2
Density functional theory data (r²SCAN) for LuF3 after structural relaxation.

M_tot: 0.00 μB/f.u.
energy relative to the elements: -4.45 eV per atom

Cell lengths 6.5755, 6.5755, 6.7612 Å; angles 90.00, 90.00, 120.00 degrees
Space group P-3c1 (No. 165)
One atom of each set of equivalent atoms:
Lu 0.0000 0.3468 0.2500 [6 per cell]
F 0.0000 0.0000 0.2500 [2 per cell]
F 0.0709 0.3756 0.9225 [12 per cell]
F 0.3333 0.6667 0.1831 [4 per cell]

Record 3
Density functional theory data (r²SCAN) for K5InPb8 after structural relaxation.

M_tot: 0.00 μB/f.u.
energy relative to the elements: -0.31 eV per atom

Cell lengths 6.8987, 6.8987, 37.8782 Å; angles 90.00, 90.00, 120.00 degrees
Space group R-3m (No. 166, hexagonal axes)
One atom of each set of equivalent atoms:
K 0.0000 0.0000 0.0000 [3 per cell]
K 0.0000 0.0000 0.1820 [6 per cell]
K 0.0000 0.0000 0.2795 [6 per cell]
In 0.0000 0.0000 0.5000 [3 per cell]
Pb 0.0000 0.0000 0.3726 [6 per cell]
Pb 0.0047 0.5024 0.2321 [18 per cell]

Record 4
Density functional theory data (r²SCAN) for Ca10Si3Pt7 after structural relaxation.

M_tot: 0.00 μB/f.u.
energy relative to the elements: -1.00 eV per atom

Cell lengths 8.7756, 8.7756, 13.8422 Å; angles 90.00, 90.00, 120.00 degrees
Space group P6_3/mcm (No. 193)
One atom of each set of equivalent atoms:
Ca 0.0000 0.2592 0.1069 [12 per cell]
Ca 0.3333 0.6667 0.0000 [4 per cell]
Ca 0.3333 0.6667 0.2500 [4 per cell]
Si 0.0000 0.2852 0.7500 [6 per cell]
Pt 0.0000 0.0000 0.2500 [2 per cell]
Pt 0.0000 0.4077 0.5976 [12 per cell]

Record 5
Density functional theory data (r²SCAN) for Nb3WSe8 after structural relaxation.

excess energy over the best structure of this formula in the dataset: 0.000 eV/atom
M_tot: 1.02 μB/f.u.
energy relative to the elements: -0.88 eV per atom

Cell lengths 13.497, 3.448, 11.956 Å; angles 90.00, 98.54, 90.00 degrees
Space group Cm (No. 8)
One atom of each set of equivalent atoms:
Nb 0.000 0.000 0.000 [2 per cell]
Nb 0.000 0.500 0.259 [2 per cell]
Nb 0.001 0.500 0.745 [2 per cell]
W 0.000 0.000 0.495 [2 per cell]
Se 0.123 0.500 0.597 [2 per cell]
Se 0.125 0.500 0.108 [2 per cell]
Se 0.126 0.000 0.853 [2 per cell]
Se 0.127 0.000 0.358 [2 per cell]
Se 0.373 0.500 0.316 [2 per cell]
Se 0.375 0.000 0.066 [2 per cell]
Se 0.375 0.500 0.810 [2 per cell]
Se 0.378 0.000 0.557 [2 per cell]

Record 6
Density functional theory data (r²SCAN) for TmAl2 after structural relaxation.

M_tot: 0.00 μB/f.u.
energy relative to the elements: -0.57 eV per atom

Cell lengths 7.751, 7.751, 7.751 Å; angles 90.00, 90.00, 90.00 degrees
Space group Fd-3m (No. 227, origin choice 2)
One atom of each set of equivalent atoms:
Tm 0.125 0.125 0.125 [8 per cell]
Al 0.000 0.000 0.500 [16 per cell]